Entry from Materials Project: a relaxed structure of CeTiGe3 (meta-GGA r2SCAN).

abc: 6.2497 6.2497 5.8855
angles: 90.00 90.00 120.00
Closest atoms and distances in Å follow each position.
Space group P6_3/mmc (No. 194)
Asymmetric unit:
Ce 0.3333 0.6667 0.2500 x2  12 Ge 3.14-3.29
Ti 0.0000 0.0000 0.0000 x2  6 Ge 2.60
Ge 0.1979 0.3958 0.7500 x6  2 Ge 2.54, 2 Ti 2.60

calculated formation energy = -745 meV/atom